Below is an optimized crystal structure of CsLa, with properties calculated at the GGA-PBE level.

Cell and atoms, written as POSCAR:
```
CsLa
1.0
-3.5134 0.9042 -1.3692
0.3892 -1.3036 3.6312
1.7445 14.2326 4.9227
Cs La
2 2
Direct
0.6667 0.3333 0.5696
0.3333 0.6667 0.0696
0.6667 0.3333 0.8054
0.3333 0.6667 0.3054
```

Results
- mass density (g cm⁻³) = 4.57
- E (eV per atom) = -2.346
- ΔH_f (0 K) (kJ/mol of formula units) = 110

---

Below is an optimized crystal structure of CsLaMg14O16, with properties calculated at the GGA-PBE level.

Cell and atoms, written as POSCAR:
```
CsLaMg14O16
1.0
-2.3660 7.6248 3.9486
-8.7282 -1.3459 -2.6309
-0.8217 -2.2675 3.8862
Cs La Mg O
1 1 14 16
Direct
0.0000 0.5000 0.0000
0.0000 0.0000 0.0000
0.5000 0.0000 0.0000
0.5000 0.5000 0.0000
0.0000 0.2597 0.5000
0.0000 0.7403 0.5000
0.5000 0.2522 0.5000
0.5000 0.7478 0.5000
0.2692 0.0000 0.5000
0.2660 0.5000 0.5000
0.7308 0.0000 0.5000
0.7340 0.5000 0.5000
0.2666 0.2574 0.0000
0.2666 0.7426 0.0000
0.7334 0.2574 0.0000
0.7334 0.7426 0.0000
0.2737 0.0000 0.0000
0.2883 0.5000 0.0000
0.7263 0.0000 0.0000
0.7117 0.5000 0.0000
0.2523 0.2510 0.5000
0.2523 0.7490 0.5000
0.7477 0.2510 0.5000
0.7477 0.7490 0.5000
0.0000 0.0000 0.5000
0.0000 0.5000 0.5000
0.5000 0.0000 0.5000
0.5000 0.5000 0.5000
0.0000 0.2348 0.0000
0.0000 0.7652 0.0000
0.5000 0.2445 0.0000
0.5000 0.7555 0.0000
```

Results
- energy relative to the lowest polymorph listed for this composition (eV/f.u.) = 1.241
- total energy after the MP2020 corrections (eV per atom) = -6.01
- mass density (g cm⁻³) = 3.84
- E (eV per atom) = -5.662
- ΔH_f (0 K) (kJ/mol of formula units) = -8179

---

Below is an optimized crystal structure of CsLaMg6O8, with properties calculated at the GGA-PBE level.

Cell and atoms, written as POSCAR:
```
CsLaMg6O8
1.0
-3.5584 -8.5427 -0.2205
1.5627 -0.5332 -4.5617
4.1971 -1.7908 1.6471
Cs La Mg O
1 1 6 8
Direct
0.0000 0.5000 0.5000
0.0000 0.0000 0.0000
0.5000 0.0000 0.0000
0.5000 0.5000 0.5000
0.2826 0.0000 0.5000
0.7174 0.0000 0.5000
0.2826 0.5000 0.0000
0.7174 0.5000 0.0000
0.2732 0.0000 0.0000
0.7268 0.0000 0.0000
0.2923 0.5000 0.5000
0.7077 0.5000 0.5000
0.0000 0.0000 0.5000
0.5000 0.0000 0.5000
0.0000 0.5000 0.0000
0.5000 0.5000 0.0000
```

Results
- total energy after the MP2020 corrections (eV per atom) = -5.87
- mass density (g cm⁻³) = 4.16
- E (eV per atom) = -5.531
- ΔH_f (0 K) (kJ/mol of formula units) = -3760